Entry 1:
## Li5V3P8O29 (PBE+U)

Data for a relaxed Li5V3P8O29 crystal.

a b c (Å): 9.7915 9.8085 13.9891
angles (deg): 89.87 89.88 60.07
Fractional coordinates of all 90 atoms:
O (0.2108, 0.9977, 0.2492)
O (0.7573, 0.0015, 0.9312)
O (0.3268, 0.3419, 0.4776)
O (0.0006, 0.7579, 0.0695)
O (0.6662, 0.6682, 0.5188)
O (0.0083, 0.2316, 0.9266)
O (0.1874, 0.4879, 0.8334)
O (0.2140, 0.7925, 0.7453)
O (0.6725, 0.8140, 0.1673)
O (0.2386, 0.9969, 0.4306)
O (0.4895, 0.3235, 0.8331)
O (0.2299, 0.7623, 0.9270)
O (0.7593, 0.2413, 0.4310)
O (0.7596, 0.0011, 0.5686)
O (0.9024, 0.4789, 0.8233)
O (0.6643, 0.0824, 0.1612)
O (0.3806, 0.5194, 0.6746)
O (0.3248, 0.1868, 0.8325)
O (0.9163, 0.3387, 0.3396)
O (0.6199, 0.8988, 0.8242)
O (0.7525, 0.2437, 0.0657)
O (0.5205, 0.6639, 0.1744)
O (0.7905, 0.2107, 0.2490)
O (0.5102, 0.8128, 0.6661)
O (0.8118, 0.6771, 0.6667)
O (0.1824, 0.3327, 0.3297)
O (0.0822, 0.6647, 0.6609)
O (0.9996, 0.7906, 0.2506)
O (0.3364, 0.7434, 0.3381)
O (0.7897, 0.9999, 0.7498)
O (0.6713, 0.6597, 0.0225)
O (0.3370, 0.9162, 0.8404)
O (0.9935, 0.2139, 0.7451)
O (0.0003, 0.7568, 0.4321)
O (0.7474, 0.3363, 0.8410)
O (0.9041, 0.6169, 0.3225)
O (0.4855, 0.1894, 0.3326)
O (0.2558, 0.6586, 0.1643)
O (0.2393, 0.7578, 0.5661)
O (0.2344, 0.0106, 0.0667)
O (0.1005, 0.3803, 0.6736)
O (0.0856, 0.2563, 0.1695)
O (0.3284, 0.4887, 0.3287)
O (0.5194, 0.0991, 0.6750)
O (0.0012, 0.2402, 0.5657)
O (0.6168, 0.4782, 0.3228)
O (0.6759, 0.5124, 0.6665)
O (0.4788, 0.6193, 0.8245)
O (0.3338, 0.3327, 0.9803)
O (0.0968, 0.5212, 0.1768)
O (0.4803, 0.8980, 0.3248)
O (0.2521, 0.0823, 0.6585)
O (0.3814, 0.0988, 0.1774)
O (0.5208, 0.3814, 0.1789)
O (0.8162, 0.5180, 0.1751)
O (0.9180, 0.7478, 0.8424)
O (0.6638, 0.2537, 0.6598)
O (0.7462, 0.9158, 0.3410)
P (0.3315, 0.3359, 0.3713)
P (0.6669, 0.6672, 0.6260)
P (0.0873, 0.2335, 0.6567)
P (0.6791, 0.0889, 0.6588)
P (0.2332, 0.6790, 0.6576)
P (0.9149, 0.3163, 0.8415)
P (0.3198, 0.9101, 0.3411)
P (0.6830, 0.2300, 0.1564)
P (0.7676, 0.9118, 0.8417)
P (0.2318, 0.0871, 0.1577)
P (0.3165, 0.7688, 0.8418)
P (0.6675, 0.6673, 0.1279)
P (0.0879, 0.6825, 0.1592)
P (0.9117, 0.7673, 0.3426)
P (0.3340, 0.3318, 0.8733)
P (0.7686, 0.3190, 0.3408)
V (0.9983, 0.4325, 0.2453)
V (0.4308, 0.9989, 0.7501)
V (0.4336, 0.5670, 0.2459)
V (0.0005, 0.5666, 0.7522)
V (0.5675, 0.4336, 0.7523)
V (0.5658, 0.0011, 0.2502)
Li (0.3239, 0.9022, 0.5641)
Li (0.9027, 0.7712, 0.5653)
Li (0.0987, 0.6742, 0.9379)
Li (0.6778, 0.0939, 0.4423)
Li (0.2264, 0.0915, 0.9390)
Li (0.0943, 0.2271, 0.4416)
Li (0.2286, 0.6768, 0.4422)
Li (0.7721, 0.3263, 0.5649)
Li (0.6805, 0.2296, 0.9373)
Li (0.7724, 0.9092, 0.0571)

=====

Entry 2:
## Li3VP2O8 (PBE+U)

Data for a relaxed Li3VP2O8 crystal.

a b c (Å): 9.9543 8.6375 16.3324
angles (deg): 64.73 90.00 90.00
Fractional coordinates of all 112 atoms:
P (0.3456, 0.1656, 0.9030)
P (0.1335, 0.7790, 0.1355)
P (0.8456, 0.8344, 0.5970)
P (0.8479, 0.2514, 0.1631)
P (0.1544, 0.1656, 0.4030)
P (0.1521, 0.7486, 0.8369)
P (0.3363, 0.3695, 0.0871)
P (0.8363, 0.6305, 0.4129)
P (0.6544, 0.8344, 0.0970)
P (0.6637, 0.6305, 0.9129)
P (0.6335, 0.2210, 0.3645)
P (0.1637, 0.3695, 0.5871)
P (0.3665, 0.7790, 0.6355)
P (0.8665, 0.2210, 0.8645)
P (0.6521, 0.2514, 0.6631)
P (0.3479, 0.7486, 0.3369)
Li (0.9017, 0.0191, 0.0557)
Li (0.8979, 0.9874, 0.7446)
Li (0.9137, 0.7354, 0.9789)
Li (0.1021, 0.0126, 0.2554)
Li (0.3979, 0.0126, 0.7554)
Li (0.5983, 0.0191, 0.5557)
Li (0.0844, 0.7501, 0.4957)
Li (0.8781, 0.6200, 0.7913)
Li (0.1171, 0.4019, 0.7814)
Li (0.1219, 0.3800, 0.2087)
Li (0.6171, 0.5981, 0.7186)
Li (0.3829, 0.4019, 0.2814)
Li (0.5844, 0.2499, 0.0043)
Li (0.4017, 0.9809, 0.4443)
Li (0.0983, 0.9809, 0.9443)
Li (0.5863, 0.7354, 0.4789)
Li (0.0863, 0.2646, 0.0211)
Li (0.6021, 0.9874, 0.2446)
Li (0.3781, 0.3800, 0.7087)
Li (0.4137, 0.2646, 0.5211)
Li (0.9156, 0.2499, 0.5043)
Li (0.8829, 0.5981, 0.2186)
Li (0.6219, 0.6200, 0.2913)
Li (0.4156, 0.7501, 0.9957)
O (0.5933, 0.7940, 0.9100)
O (0.9222, 0.1461, 0.2562)
O (0.8397, 0.4437, 0.1491)
O (0.1008, 0.6069, 0.2208)
O (0.1949, 0.7959, 0.3339)
O (0.8051, 0.2041, 0.6661)
O (0.4154, 0.4085, 0.1585)
O (0.7491, 0.8984, 0.5138)
O (0.9067, 0.7940, 0.4100)
O (0.8524, 0.0629, 0.8420)
O (0.6419, 0.4791, 0.0077)
O (0.8130, 0.6635, 0.8900)
O (0.6476, 0.0629, 0.3420)
O (0.7509, 0.8984, 0.0138)
O (0.4067, 0.2060, 0.0900)
O (0.5778, 0.1461, 0.7562)
O (0.4222, 0.8539, 0.2438)
O (0.6603, 0.4437, 0.6491)
O (0.2509, 0.1016, 0.4862)
O (0.3992, 0.6069, 0.7208)
O (0.4423, 0.0171, 0.9163)
O (0.9309, 0.6822, 0.5987)
O (0.3524, 0.9371, 0.6580)
O (0.2780, 0.7659, 0.1004)
O (0.1419, 0.5209, 0.4923)
O (0.6949, 0.2041, 0.1661)
O (0.9803, 0.1872, 0.9330)
O (0.2351, 0.2247, 0.3142)
O (0.5197, 0.1872, 0.4330)
O (0.5846, 0.5915, 0.8415)
O (0.3130, 0.3365, 0.6100)
O (0.7220, 0.2341, 0.8996)
O (0.4309, 0.3178, 0.9013)
O (0.6870, 0.6635, 0.3900)
O (0.1603, 0.5563, 0.8509)
O (0.0933, 0.2060, 0.5900)
O (0.7649, 0.7753, 0.6858)
O (0.0577, 0.0171, 0.4163)
O (0.9191, 0.2159, 0.0908)
O (0.2649, 0.2247, 0.8142)
O (0.0846, 0.4085, 0.6585)
O (0.3581, 0.5209, 0.9923)
O (0.4191, 0.7841, 0.4092)
O (0.2220, 0.7659, 0.6004)
O (0.2491, 0.1016, 0.9862)
O (0.7780, 0.2341, 0.3996)
O (0.5577, 0.9829, 0.0837)
O (0.9423, 0.9829, 0.5837)
O (0.5691, 0.6822, 0.0987)
O (0.1476, 0.9371, 0.1580)
O (0.8581, 0.4791, 0.5077)
O (0.0691, 0.3178, 0.4013)
O (0.7351, 0.7753, 0.1858)
O (0.4803, 0.8128, 0.5670)
O (0.0778, 0.8539, 0.7438)
O (0.3051, 0.7959, 0.8339)
O (0.1870, 0.3365, 0.1100)
O (0.3397, 0.5563, 0.3509)
O (0.0809, 0.7841, 0.9092)
O (0.5809, 0.2159, 0.5908)
O (0.8992, 0.3931, 0.7792)
O (0.9154, 0.5915, 0.3415)
O (0.0197, 0.8128, 0.0670)
O (0.6008, 0.3931, 0.2792)
V (0.1483, 0.9737, 0.6143)
V (0.6208, 0.4403, 0.1408)
V (0.3792, 0.5597, 0.8592)
V (0.1208, 0.5597, 0.3592)
V (0.8792, 0.4403, 0.6408)
V (0.3517, 0.9737, 0.1143)
V (0.6483, 0.0263, 0.8857)
V (0.8517, 0.0263, 0.3857)

=====

Entry 3:
## Li2VP2O8 (PBE+U)

Data for a relaxed Li2VP2O8 crystal.

a b c (Å): 8.3425 5.0467 7.0040
angles (deg): 81.80 90.00 90.00
Fractional coordinates of all 26 atoms:
O (0.1040, 0.4371, 0.3349)
O (0.6144, 0.9817, 0.4163)
O (0.1144, 0.0183, 0.5837)
O (0.6398, 0.2045, 0.0296)
O (0.6040, 0.5629, 0.6651)
O (0.3644, 0.2861, 0.4952)
O (0.3677, 0.4930, 0.0954)
O (0.4291, 0.8956, 0.8536)
O (0.9291, 0.1044, 0.1464)
O (0.1464, 0.4623, 0.6960)
O (0.8677, 0.5070, 0.9046)
O (0.8644, 0.7139, 0.5048)
O (0.1398, 0.7955, 0.9704)
O (0.6464, 0.5377, 0.3040)
O (0.3356, 0.9697, 0.1889)
O (0.8356, 0.0303, 0.8111)
P (0.3224, 0.7947, 0.0221)
P (0.8224, 0.2053, 0.9779)
P (0.1802, 0.3125, 0.5205)
P (0.6802, 0.6875, 0.4795)
Li (0.4883, 0.2499, 0.7503)
Li (0.9883, 0.7501, 0.2497)
Li (0.1485, 0.2643, 0.1093)
Li (0.6485, 0.7357, 0.8907)
V (0.5015, 0.2411, 0.2624)
V (0.0015, 0.7589, 0.7376)

Output
Largest piezoelectric modulus   0.98 C/m2

=====

Entry 4:
## Li7V3P8O29 (PBE+U)

Data for a relaxed Li7V3P8O29 crystal.

a b c (Å): 9.8538 9.8468 13.9235
angles (deg): 89.84 89.79 59.98
Fractional coordinates of all 94 atoms:
O (0.6866, 0.6612, 0.5218)
O (0.3190, 0.3350, 0.4809)
O (0.6657, 0.0785, 0.6604)
O (0.2020, 0.7980, 0.2500)
O (0.3736, 0.1063, 0.6699)
O (0.3764, 0.5349, 0.1658)
O (0.9223, 0.3336, 0.8396)
O (0.6294, 0.4799, 0.8366)
O (0.0044, 0.2347, 0.4379)
O (0.9127, 0.4703, 0.3273)
O (0.1874, 0.4891, 0.3321)
O (0.7530, 0.3344, 0.3442)
O (0.0044, 0.7733, 0.5638)
O (0.2529, 0.6681, 0.6563)
O (0.9165, 0.7429, 0.3418)
O (0.6655, 0.2472, 0.1558)
O (0.5297, 0.0873, 0.1727)
O (0.5109, 0.8126, 0.1680)
O (0.7841, 0.2159, 0.7501)
O (0.2102, 0.7847, 0.0689)
O (0.2330, 0.9956, 0.5718)
O (0.4648, 0.6233, 0.3342)
O (0.3374, 0.9199, 0.3375)
O (0.6621, 0.8136, 0.6780)
O (0.8094, 0.6798, 0.1684)
O (0.0801, 0.6626, 0.1626)
O (0.0791, 0.2528, 0.6578)
O (0.4772, 0.8968, 0.8344)
O (0.7653, 0.9955, 0.0621)
O (0.7948, 0.0071, 0.4197)
O (0.5203, 0.6651, 0.6622)
O (0.2152, 0.7898, 0.4310)
O (0.2269, 0.9949, 0.9362)
O (0.7768, 0.2214, 0.5690)
O (0.2571, 0.0834, 0.1582)
O (0.0780, 0.3811, 0.1663)
O (0.1031, 0.5229, 0.6655)
O (0.3351, 0.4790, 0.8376)
O (0.0148, 0.1979, 0.2596)
O (0.6189, 0.9221, 0.3336)
O (0.8936, 0.6265, 0.8302)
O (0.4830, 0.1808, 0.8260)
O (0.3387, 0.3129, 0.9783)
O (0.6762, 0.5138, 0.1611)
O (0.7796, 0.2221, 0.9311)
O (0.7471, 0.9210, 0.8422)
O (0.3330, 0.7462, 0.8426)
O (0.8020, 0.9852, 0.2404)
O (0.9962, 0.7898, 0.7460)
O (0.0043, 0.7670, 0.9282)
O (0.9930, 0.2051, 0.0803)
O (0.4861, 0.3238, 0.3389)
O (0.3202, 0.1906, 0.3316)
O (0.2104, 0.0037, 0.7540)
O (0.1865, 0.3375, 0.8221)
O (0.8190, 0.5170, 0.6739)
O (0.5198, 0.3719, 0.6648)
O (0.6650, 0.6811, 0.0191)
Li (0.9609, 0.9796, 0.5060)
Li (0.0201, 0.0392, 0.9939)
Li (0.0887, 0.6758, 0.4361)
Li (0.3356, 0.3361, 0.6142)
Li (0.9053, 0.7661, 0.0618)
Li (0.6641, 0.6637, 0.8857)
Li (0.2339, 0.0948, 0.4382)
Li (0.3242, 0.9112, 0.0640)
Li (0.2339, 0.6681, 0.9386)
Li (0.6736, 0.2325, 0.4346)
Li (0.9014, 0.3339, 0.5611)
Li (0.7675, 0.3263, 0.0652)
Li (0.3314, 0.7661, 0.5613)
Li (0.6661, 0.0988, 0.9390)
V (0.9992, 0.5638, 0.2507)
V (0.4362, 0.0008, 0.2492)
V (0.5670, 0.9963, 0.7475)
V (0.4367, 0.5639, 0.7491)
V (0.0041, 0.4327, 0.7529)
V (0.5644, 0.4358, 0.2499)
P (0.9175, 0.3122, 0.3462)
P (0.6672, 0.6689, 0.1276)
P (0.6840, 0.2235, 0.6571)
P (0.3142, 0.9109, 0.8470)
P (0.9115, 0.7738, 0.8404)
P (0.6716, 0.6640, 0.6277)
P (0.3311, 0.3329, 0.3724)
P (0.0862, 0.2223, 0.1599)
P (0.6878, 0.0824, 0.1538)
P (0.7764, 0.3167, 0.8436)
P (0.3357, 0.3290, 0.8725)
P (0.3110, 0.7763, 0.3421)
P (0.0891, 0.6859, 0.6529)
P (0.2262, 0.0885, 0.6596)
P (0.7776, 0.9139, 0.3401)
P (0.2238, 0.6889, 0.1579)

=====

Entry 5:
## Li9V3P8O29 (PBE+U)

Data for a relaxed Li9V3P8O29 crystal.

a b c (Å): 9.8818 9.9183 13.7596
angles (deg): 90.07 90.12 60.14
Fractional coordinates of all 98 atoms:
P (0.3167, 0.7746, 0.3454)
P (0.3315, 0.3387, 0.3767)
P (0.6689, 0.6664, 0.6248)
P (0.7721, 0.3158, 0.8433)
P (0.7758, 0.9078, 0.3419)
P (0.3136, 0.9109, 0.8459)
P (0.3313, 0.3361, 0.8783)
P (0.6835, 0.2262, 0.6544)
P (0.6812, 0.0922, 0.1544)
P (0.2268, 0.0882, 0.6549)
P (0.0894, 0.2250, 0.1546)
P (0.9100, 0.3160, 0.3438)
P (0.2266, 0.6848, 0.1566)
P (0.0862, 0.6835, 0.6570)
P (0.9091, 0.7727, 0.8460)
P (0.6664, 0.6617, 0.1243)
O (0.3755, 0.5222, 0.1672)
O (0.4783, 0.8911, 0.8375)
O (0.7837, 0.0007, 0.2491)
O (0.4844, 0.3352, 0.3293)
O (0.1057, 0.3719, 0.1670)
O (0.0815, 0.6682, 0.1538)
O (0.2215, 0.0034, 0.9336)
O (0.2278, 0.7651, 0.4341)
O (0.0802, 0.2500, 0.6559)
O (0.9217, 0.3260, 0.8435)
O (0.9955, 0.2157, 0.2495)
O (0.3340, 0.9159, 0.3487)
O (0.8127, 0.6679, 0.1640)
O (0.0019, 0.2203, 0.4324)
O (0.8884, 0.6295, 0.8327)
O (0.8110, 0.5120, 0.6594)
O (0.1887, 0.3246, 0.8383)
O (0.1891, 0.4910, 0.3374)
O (0.7495, 0.9216, 0.8469)
O (0.6806, 0.6943, 0.5161)
O (0.6854, 0.6316, 0.0154)
O (0.6294, 0.4799, 0.8292)
O (0.6333, 0.8896, 0.3427)
O (0.7834, 0.0020, 0.4308)
O (0.3258, 0.1959, 0.3449)
O (0.9288, 0.7506, 0.3410)
O (0.3238, 0.4872, 0.8371)
O (0.4848, 0.1911, 0.8396)
O (0.5214, 0.1101, 0.1584)
O (0.8928, 0.4776, 0.3381)
O (0.2292, 0.7750, 0.0676)
O (0.2134, 0.7850, 0.2513)
O (0.6725, 0.0757, 0.6524)
O (0.7707, 0.2331, 0.5657)
O (0.7653, 0.2301, 0.9326)
O (0.7831, 0.0014, 0.0671)
O (0.6714, 0.5095, 0.1718)
O (0.5167, 0.8027, 0.1559)
O (0.6743, 0.2524, 0.1586)
O (0.4797, 0.6239, 0.3334)
O (0.9897, 0.7712, 0.5680)
O (0.0036, 0.7670, 0.9343)
O (0.3736, 0.1050, 0.6640)
O (0.2250, 0.9977, 0.5660)
O (0.5186, 0.3663, 0.6677)
O (0.2454, 0.6749, 0.6542)
O (0.3271, 0.7497, 0.8435)
O (0.7852, 0.2110, 0.7494)
O (0.3304, 0.3395, 0.9876)
O (0.3483, 0.3526, 0.4857)
O (0.5150, 0.6700, 0.6521)
O (0.9888, 0.2358, 0.0665)
O (0.1084, 0.5195, 0.6669)
O (0.7459, 0.3319, 0.3452)
O (0.6738, 0.8078, 0.6745)
O (0.9977, 0.7860, 0.7507)
O (0.2464, 0.0811, 0.1528)
O (0.2158, 0.9993, 0.7497)
V (0.7429, 0.8868, 0.5504)
V (0.4321, 0.5650, 0.7491)
V (0.5608, 0.0045, 0.7563)
V (0.5646, 0.4347, 0.2500)
V (0.0007, 0.5635, 0.2490)
V (0.0009, 0.4327, 0.7517)
Li (0.6670, 0.6641, 0.8834)
Li (0.4329, 0.0009, 0.2489)
Li (0.2387, 0.0990, 0.4234)
Li (0.3348, 0.3103, 0.1234)
Li (0.1047, 0.6642, 0.4313)
Li (0.9072, 0.3258, 0.5622)
Li (0.3263, 0.7685, 0.5608)
Li (0.6695, 0.0981, 0.9403)
Li (0.0961, 0.2338, 0.9401)
Li (0.7629, 0.3382, 0.0643)
Li (0.6547, 0.6835, 0.3738)
Li (0.0151, 0.0085, 0.4857)
Li (0.3321, 0.3362, 0.6181)
Li (0.9982, 0.0060, 0.0116)
Li (0.6648, 0.2361, 0.4340)
Li (0.8993, 0.7698, 0.0681)
Li (0.3351, 0.9032, 0.0737)
Li (0.2335, 0.6686, 0.9396)

=====

Here are the calculated ΔH_f (0 K) numbers, same order: -2.62 -2.68 -2.64 -2.67 -2.70 (eV per atom).
Here are the calculated E_tot numbers, same order: -632.60 -763.81 -180.95 -656.09 -676.84 (eV for the cell shown).